No. 1
# Ti5S8 PBE optimized geometry
data_Ti5S8
_space_group_name_H-M_alt 'C 1 2/m 1'
_space_group_IT_number 12
_cell_length_a 11.6601
_cell_length_b 6.8512
_cell_length_c 8.2672
_cell_angle_alpha 90.00
_cell_angle_beta 134.20
_cell_angle_gamma 90.00
loop_
_space_group_symop_operation_xyz
'x,y,z'
'-x,-y,-z'
'-x,y,-z'
'x,-y,z'
'x+1/2,y+1/2,z'
'-x+1/2,-y+1/2,-z'
'-x+1/2,y+1/2,-z'
'x+1/2,-y+1/2,z'
loop_
_atom_site_label
_atom_site_type_symbol
_atom_site_fract_x
_atom_site_fract_y
_atom_site_fract_z
Ti1 Ti 0.0000 0.0000 0.0000
Ti2 Ti 0.0000 0.2636 0.5000
Ti3 Ti 0.2454 0.5000 0.9901
S1 S 0.0365 0.0000 0.3306
S2 S 0.0399 0.5000 0.3316
S3 S 0.2080 0.2499 0.1700
# calculated volume = 473.5 Å³/cell
# corrected total energy (MP2020 scheme) = -189.251 eV/cell


No. 2
# NiBiSe PBE optimized geometry
data_NiBiSe
_space_group_name_H-M_alt 'P 21 3'
_space_group_IT_number 198
_space_group_name_Hall 'P 2ac 2ab 3'
_cell_length_a 6.2374
_cell_length_b 6.2374
_cell_length_c 6.2374
_cell_angle_alpha 90.00
_cell_angle_beta 90.00
_cell_angle_gamma 90.00
loop_
_atom_site_label
_atom_site_type_symbol
_atom_site_fract_x
_atom_site_fract_y
_atom_site_fract_z
Ni1 Ni 0.2343 0.2657 0.7343
Bi1 Bi 0.1170 0.1170 0.1170
Se1 Se 0.1212 0.6212 0.8788
# size of the total moment = 0.00 μB/cell
# calculated volume = 242.7 Å³/cell
# corrected total energy (MP2020 scheme) = -57.286 eV/cell


No. 3
# K2LiNb6P3O24 PBE optimized geometry
data_K2LiNb6P3O24
_space_group_name_H-M_alt 'P 1'
_space_group_IT_number 1
_cell_length_a 8.5313
_cell_length_b 8.5420
_cell_length_c 8.5451
_cell_angle_alpha 104.08
_cell_angle_beta 104.20
_cell_angle_gamma 104.17
loop_
_space_group_symop_operation_xyz
'x,y,z'
loop_
_atom_site_label
_atom_site_type_symbol
_atom_site_fract_x
_atom_site_fract_y
_atom_site_fract_z
K1 K 0.0000 0.0000 0.0000
K2 K 0.3903 0.4950 0.4945
Li1 Li 0.2745 0.9848 0.6658
Nb1 Nb 0.0492 0.5657 0.1269
Nb2 Nb 0.3509 0.3792 0.9384
Nb3 Nb 0.5441 0.0587 0.0617
Nb4 Nb 0.6667 0.2521 0.7413
Nb5 Nb 0.7359 0.7634 0.2525
Nb6 Nb 0.8559 0.4446 0.4457
P1 P 0.1950 0.6820 0.8125
P2 P 0.4191 0.9057 0.3641
P3 P 0.9713 0.1303 0.5884
O1 O 0.0098 0.4715 0.2952
O2 O 0.0548 0.6407 0.6393
O3 O 0.1143 0.6980 0.9558
O4 O 0.1437 0.1569 0.7231
O5 O 0.1935 0.4321 0.0616
O6 O 0.2482 0.7629 0.3252
O7 O 0.2784 0.5399 0.7977
O8 O 0.3275 0.8565 0.8418
O9 O 0.3783 0.1957 0.0156
O10 O 0.4053 0.9882 0.2217
O11 O 0.4492 0.0392 0.5378
O12 O 0.4856 0.3336 0.7720
O13 O 0.5426 0.5594 0.0912
O14 O 0.5617 0.8234 0.3775
O15 O 0.6248 0.0937 0.8822
O16 O 0.6704 0.9056 0.1168
O17 O 0.6969 0.2532 0.2421
O18 O 0.7195 0.3770 0.5851
O19 O 0.7583 0.6086 0.3983
O20 O 0.8304 0.1179 0.6730
O21 O 0.8490 0.4063 0.9359
O22 O 0.9015 0.7199 0.1536
O23 O 0.9298 0.9581 0.4471
O24 O 0.9865 0.2738 0.5083
# size of the total moment = 0.00 μB/cell
# calculated volume = 554.0 Å³/cell
# corrected total energy (MP2020 scheme) = -305.159 eV/cell


No. 4
# MgSb2O5 PBE optimized geometry
data_MgSb2O5
_space_group_name_H-M_alt 'P 1'
_space_group_IT_number 1
_cell_length_a 3.5828
_cell_length_b 5.2906
_cell_length_c 13.3636
_cell_angle_alpha 97.43
_cell_angle_beta 93.96
_cell_angle_gamma 99.61
loop_
_space_group_symop_operation_xyz
'x,y,z'
loop_
_atom_site_label
_atom_site_type_symbol
_atom_site_fract_x
_atom_site_fract_y
_atom_site_fract_z
Mg1 Mg 0.0000 0.0000 0.0000
Mg2 Mg 0.2578 0.2260 0.5660
Sb1 Sb 0.3146 0.5378 0.1678
Sb2 Sb 0.3707 0.4660 0.8916
Sb3 Sb 0.8725 0.7590 0.6756
Sb4 Sb 0.9117 0.6858 0.3994
O1 O 0.1094 0.0389 0.4254
O2 O 0.1243 0.1830 0.1420
O3 O 0.3628 0.6925 0.0432
O4 O 0.3648 0.5487 0.3415
O5 O 0.3885 0.5216 0.6801
O6 O 0.5351 0.1807 0.9580
O7 O 0.7190 0.0485 0.6101
O8 O 0.8502 0.7068 0.8853
O9 O 0.8610 0.6724 0.2264
O10 O 0.8623 0.5297 0.5237
# size of the total moment = 0.42 μB/cell
# calculated volume = 246.6 Å³/cell
# corrected total energy (MP2020 scheme) = -99.063 eV/cell


No. 5
# Ba3Ge4 PBE optimized geometry
data_Ba3Ge4
_space_group_name_H-M_alt 'P 42/m n m'
_space_group_IT_number 136
_space_group_name_Hall '-P 4n 2n'
_cell_length_a 8.6781
_cell_length_b 8.6781
_cell_length_c 12.2555
_cell_angle_alpha 90.00
_cell_angle_beta 90.00
_cell_angle_gamma 90.00
loop_
_atom_site_label
_atom_site_type_symbol
_atom_site_fract_x
_atom_site_fract_y
_atom_site_fract_z
Ba1 Ba 0.0000 0.0000 0.1696
Ba2 Ba 0.0000 0.5000 0.2500
Ba3 Ba 0.1623 0.1623 0.5000
Ge1 Ge 0.0886 0.3040 0.0000
Ge2 Ge 0.1974 0.8026 0.3517
# size of the total moment = 0.00 μB/cell
# calculated volume = 923.0 Å³/cell
# total energy = -112.92 eV per cell


No. 6
# IrOs PBE optimized geometry
data_IrOs
_space_group_name_H-M_alt 'P -6 m 2'
_space_group_IT_number 187
_space_group_name_Hall 'P -6 2'
_cell_length_a 2.7571
_cell_length_b 2.7571
_cell_length_c 4.3903
_cell_angle_alpha 90.00
_cell_angle_beta 90.00
_cell_angle_gamma 120.00
loop_
_atom_site_label
_atom_site_type_symbol
_atom_site_fract_x
_atom_site_fract_y
_atom_site_fract_z
Ir1 Ir 0.0000 0.0000 0.0000
Os1 Os 0.6667 0.3333 0.5000
# calculated volume = 28.9 Å³/cell
# total energy = -20.03 eV per cell


No. 7
# TlCu4S3 PBE optimized geometry
data_TlCu4S3
_space_group_name_H-M_alt 'P 4/m m m'
_space_group_IT_number 123
_space_group_name_Hall '-P 4 2'
_cell_length_a 3.8814
_cell_length_b 3.8814
_cell_length_c 9.4176
_cell_angle_alpha 90.00
_cell_angle_beta 90.00
_cell_angle_gamma 90.00
loop_
_atom_site_label
_atom_site_type_symbol
_atom_site_fract_x
_atom_site_fract_y
_atom_site_fract_z
Tl1 Tl 0.0000 0.0000 0.0000
Cu1 Cu 0.0000 0.5000 0.3407
S1 S 0.0000 0.0000 0.5000
S2 S 0.5000 0.5000 0.2088
# calculated volume = 141.9 Å³/cell
# corrected total energy (MP2020 scheme) = -34.355 eV/cell


No. 8
# CsMg3 PBE optimized geometry
data_CsMg3
_space_group_name_H-M_alt 'P m m 2'
_space_group_IT_number 25
_cell_length_a 3.7526
_cell_length_b 4.9008
_cell_length_c 8.4345
_cell_angle_alpha 90.00
_cell_angle_beta 90.00
_cell_angle_gamma 90.00
loop_
_space_group_symop_operation_xyz
'x,y,z'
'-x,-y,z'
'-x,y,z'
'x,-y,z'
loop_
_atom_site_label
_atom_site_type_symbol
_atom_site_fract_x
_atom_site_fract_y
_atom_site_fract_z
Cs1 Cs 0.0000 0.0000 0.0000
Mg1 Mg 0.0000 0.5000 0.6114
Mg2 Mg 0.5000 0.0000 0.5266
Mg3 Mg 0.5000 0.5000 0.3116
# size of the total moment = 0.00 μB/cell
# calculated volume = 155.1 Å³/cell
# total energy = -4.59 eV per cell


No. 9
# Ba2SrI6 PBE optimized geometry
data_Ba2SrI6
_space_group_name_H-M_alt 'P 1 21/c 1'
_space_group_IT_number 14
_cell_length_a 10.8763
_cell_length_b 9.7750
_cell_length_c 18.5545
_cell_angle_alpha 90.00
_cell_angle_beta 123.75
_cell_angle_gamma 90.00
loop_
_space_group_symop_operation_xyz
'x,y,z'
'-x,-y,-z'
'-x,y+1/2,-z+1/2'
'x,-y+1/2,z+1/2'
loop_
_atom_site_label
_atom_site_type_symbol
_atom_site_fract_x
_atom_site_fract_y
_atom_site_fract_z
Ba1 Ba 0.1423 0.1015 0.2866
Ba2 Ba 0.2035 0.7112 0.0912
Sr1 Sr 0.4291 0.1503 0.0733
I1 I 0.0764 0.1116 0.6357
I2 I 0.0841 0.0561 0.9258
I3 I 0.2187 0.7373 0.2927
I4 I 0.3243 0.0437 0.5112
I5 I 0.3988 0.0403 0.2267
I6 I 0.4724 0.1712 0.9109
# size of the total moment = 0.01 μB/cell
# calculated volume = 1640.1 Å³/cell
# corrected total energy (MP2020 scheme) = -130.050 eV/cell


No. 10
# Mg3Si3Ag2O12 PBE optimized geometry
data_Mg3Si3Ag2O12
_space_group_name_H-M_alt 'I a -3 d'
_space_group_IT_number 230
_space_group_name_Hall '-I 4bd 2c 3'
_cell_length_a 12.0310
_cell_length_b 12.0310
_cell_length_c 12.0310
_cell_angle_alpha 90.00
_cell_angle_beta 90.00
_cell_angle_gamma 90.00
loop_
_atom_site_label
_atom_site_type_symbol
_atom_site_fract_x
_atom_site_fract_y
_atom_site_fract_z
Mg1 Mg 0.0000 0.2500 0.1250
Si1 Si 0.0000 0.2500 0.3750
Ag1 Ag 0.0000 0.0000 0.0000
O1 O 0.0347 0.0631 0.6661
# size of the total moment = 0.00 μB/cell
# calculated volume = 1741.4 Å³/cell
# corrected total energy (MP2020 scheme) = -1059.937 eV/cell


No. 11
# EuSn2Ir PBE optimized geometry
data_EuSn2Ir
_space_group_name_H-M_alt 'C m c m'
_space_group_IT_number 63
_space_group_name_Hall '-C 2c 2'
_cell_length_a 4.3909
_cell_length_b 11.2974
_cell_length_c 7.6603
_cell_angle_alpha 90.00
_cell_angle_beta 90.00
_cell_angle_gamma 90.00
loop_
_atom_site_label
_atom_site_type_symbol
_atom_site_fract_x
_atom_site_fract_y
_atom_site_fract_z
Eu1 Eu 0.0000 0.0640 0.2500
Sn1 Sn 0.0000 0.3517 0.0478
Ir1 Ir 0.0000 0.2130 0.7500
# calculated volume = 380.0 Å³/cell
# total energy = -118.20 eV per cell


No. 12
# LiSnP4O12 PBE optimized geometry
data_LiSnP4O12
_space_group_name_H-M_alt 'C 2 2 21'
_space_group_IT_number 20
_cell_length_a 10.0734
_cell_length_b 11.7845
_cell_length_c 17.7693
_cell_angle_alpha 90.00
_cell_angle_beta 90.00
_cell_angle_gamma 90.00
loop_
_space_group_symop_operation_xyz
'x,y,z'
'-x,-y,z+1/2'
'x,-y,-z'
'-x,y,-z+1/2'
'x+1/2,y+1/2,z'
'-x+1/2,-y+1/2,z+1/2'
'x+1/2,-y+1/2,-z'
'-x+1/2,y+1/2,-z+1/2'
loop_
_atom_site_label
_atom_site_type_symbol
_atom_site_fract_x
_atom_site_fract_y
_atom_site_fract_z
Li1 Li 0.1459 0.0467 0.3540
Sn1 Sn 0.2254 0.2035 0.6301
P1 P 0.0000 0.3617 0.2500
P2 P 0.0429 0.2603 0.9895
P3 P 0.1054 0.1417 0.8457
P4 P 0.1492 0.5000 0.0000
P5 P 0.1989 0.4732 0.6903
O1 O 0.0328 0.0896 0.6460
O2 O 0.0460 0.3979 0.9876
O3 O 0.0700 0.4446 0.3094
O4 O 0.0978 0.2910 0.2061
O5 O 0.0993 0.2227 0.5180
O6 O 0.1165 0.2193 0.0584
O7 O 0.1285 0.2273 0.9164
O8 O 0.1496 0.2014 0.7770
O9 O 0.1503 0.3697 0.6478
O10 O 0.2043 0.0378 0.8681
O11 O 0.2274 0.4815 0.0716
O12 O 0.2411 0.0391 0.2658
# size of the total moment = 3.91 μB/cell
# calculated volume = 2109.4 Å³/cell
# corrected total energy (MP2020 scheme) = -1050.848 eV/cell